No. 1
This record from the Materials Project describes a relaxed structure of HoAsO4. The functional is PBE.

Calculated values
- energy of formation (meV per atom) = -2782.8

```
HoAsO4
1.0
6.6465 0.0000 0.0000
0.0000 6.9750 0.0000
-4.8000 0.0000 6.5386
Ho As O
4 4 16
Direct
0.1934 0.1458 0.2822 Ho
0.1934 0.3542 0.7822 Ho
0.8066 0.6458 0.2178 Ho
0.8066 0.8542 0.7178 Ho
0.3106 0.6612 0.1989 As
0.3106 0.8388 0.6989 As
0.6894 0.1612 0.3011 As
0.6894 0.3388 0.8011 As
0.1049 0.6498 0.6020 O
0.1049 0.8502 0.1020 O
0.1625 0.0080 0.7470 O
0.1625 0.4920 0.2470 O
0.3566 0.6046 0.0164 O
0.3566 0.8954 0.5164 O
0.3820 0.2144 0.1118 O
0.3820 0.2856 0.6118 O
0.6180 0.7144 0.3882 O
0.6180 0.7856 0.8882 O
0.6434 0.1046 0.4836 O
0.6434 0.3954 0.9836 O
0.8375 0.5080 0.7530 O
0.8375 0.9920 0.2530 O
0.8951 0.1498 0.8980 O
0.8951 0.3502 0.3980 O
```


No. 2
This record from the Materials Project describes a relaxed structure of CoBiTe. The functional is PBE.

Calculated values
- energy of formation (meV per atom) = -202.7

```
CoBiTe
1.0
5.4945 0.0000 0.0000
0.0000 3.8389 0.0000
-0.3673 0.0000 6.4087
Co Bi Te
2 2 2
Direct
0.0000 0.0000 0.0000 Co
0.5000 0.5000 0.5000 Co
0.2239 0.0000 0.6461 Bi
0.7761 0.0000 0.3539 Bi
0.2710 0.5000 0.1444 Te
0.7290 0.5000 0.8556 Te
```